one) VASP calculation (PBE with a Hubbard U) on a geometry-optimized SrMgVO3 structure.

abc: 3.9847 3.9847 6.1438
angles: 90.00 90.00 90.00
Closest atoms and distances in Å follow each position.
Fractional positions:
Sr1 0.0000 0.0000 0.0000  4 O 2.82, 2 Mg 3.07
Mg1 0.0000 0.0000 0.5000  4 O 1.99
V1 0.5000 0.5000 0.5000  4 O 1.99
O1 0.0000 0.5000 0.5000  2 V 1.99, 2 Mg 1.99
O2 0.5000 0.0000 0.5000  2 V 1.99, 2 Mg 1.99
O3 0.5000 0.5000 0.0000  4 Sr 2.82, 2 V 3.07

Computed properties:
The symmetry is P4/mmm, No. 123.

***

two) VASP calculation (PBE with a Hubbard U) on a geometry-optimized SrMgVO3 structure.

abc: 6.7781 5.8167 4.4811
angles: 90.00 101.61 90.00
Closest atoms and distances in Å follow each position.
Fractional positions:
Sr1 0.0000 0.0000 0.0000  3 O 2.41-2.42
Sr2 0.5000 0.5000 0.0000  3 O 2.41-2.42
Mg1 0.1357 0.5000 0.3654  3 O 1.92
Mg2 0.6357 0.0000 0.3654  3 O 1.92
V1 0.3464 0.0000 0.6527  6 O 2.15-2.33
V2 0.8464 0.5000 0.6527  6 O 2.15-2.33
O1 0.1106 0.2508 0.6364  1 Mg 1.92
O2 0.1106 0.7492 0.6364  1 Mg 1.92
O3 0.3631 0.0000 0.1384  1 Mg 1.92
O4 0.6106 0.2492 0.6364  1 Mg 1.92
O5 0.6106 0.7508 0.6364  1 Mg 1.92
O6 0.8631 0.5000 0.1384  1 Mg 1.92

Computed properties:
The symmetry is Cm, No. 8.

***

Among the structures above, stability is greatest for two).